# Rb2ScHgBr6 | Materials Project | GGA-PBE | optimized geometry
data_Rb2ScHgBr6
_cell_length_a 8.0631
_cell_length_b 8.0631
_cell_length_c 8.0631
_cell_angle_alpha 60.00
_cell_angle_beta 60.00
_cell_angle_gamma 60.00
_space_group_name_H-M_alt 'P 1'
_space_group_IT_number 1
loop_
_space_group_symop_operation_xyz
'x,y,z'
loop_
_atom_site_label
_atom_site_fract_x
_atom_site_fract_y
_atom_site_fract_z
_atom_site_occupancy
Rb1 0.7500 0.7500 0.7500 1
Rb2 0.2500 0.2500 0.2500 1
Sc1 0.0000 0.0000 0.0000 1
Hg1 0.5000 0.5000 0.5000 1
Br1 0.7663 0.2337 0.2337 1
Br2 0.2337 0.2337 0.7663 1
Br3 0.2337 0.7663 0.7663 1
Br4 0.2337 0.7663 0.2337 1
Br5 0.7663 0.2337 0.7663 1
Br6 0.7663 0.7663 0.2337 1
# Formation energy (eV per atom): -1.7259